[1]
A plane-wave DFT calculation with r²SCAN was carried out for an optimized crystal structure of BaBSbS4.

## Properties
energy of formation = -7.427 eV per formula unit
symmetry = Pnma (62)
spin magnetization = 0.0 μB per formula unit
crystal system = orthorhombic

Cell: 9.885 6.252 11.854 Å, 90.00 90.00 90.00°
Positions (direct):
1 Ba 0.015 0.250 0.170
2 Ba 0.485 0.750 0.670
3 Ba 0.515 0.250 0.330
4 Ba 0.985 0.750 0.830
5 B 0.194 0.750 0.451
6 B 0.306 0.250 0.951
7 B 0.694 0.750 0.049
8 B 0.806 0.250 0.549
9 Sb 0.192 0.250 0.539
10 Sb 0.308 0.750 0.039
11 Sb 0.692 0.250 0.961
12 Sb 0.808 0.750 0.461
13 S 0.074 0.750 0.090
14 S 0.172 0.750 0.601
15 S 0.208 0.503 0.372
16 S 0.208 0.997 0.372
17 S 0.292 0.003 0.872
18 S 0.292 0.497 0.872
19 S 0.328 0.250 0.101
20 S 0.426 0.250 0.590
21 S 0.574 0.750 0.410
22 S 0.672 0.750 0.899
23 S 0.708 0.503 0.128
24 S 0.708 0.997 0.128
25 S 0.792 0.003 0.628
26 S 0.792 0.497 0.628
27 S 0.828 0.250 0.399
28 S 0.926 0.250 0.910



[2]
A plane-wave DFT calculation with r²SCAN was carried out for an optimized crystal structure of Ba7B4Se13.

## Properties
energy of formation = -35.808 eV per formula unit
symmetry = C2/c (15)
spin magnetization = 0.0 μB per formula unit
crystal system = monoclinic

Cell: 13.746 13.746 10.632 Å, 90.02 90.02 134.49°
Positions (direct):
1 Ba 0.003 0.997 0.750
2 Ba 0.048 0.395 0.357
3 Ba 0.167 0.833 0.250
4 Ba 0.221 0.565 0.972
5 Ba 0.395 0.048 0.857
6 Ba 0.435 0.779 0.528
7 Ba 0.495 0.505 0.250
8 Ba 0.505 0.495 0.750
9 Ba 0.565 0.221 0.472
10 Ba 0.605 0.952 0.143
11 Ba 0.779 0.435 0.028
12 Ba 0.833 0.167 0.750
13 Ba 0.952 0.605 0.643
14 Ba 0.997 0.003 0.250
15 B 0.017 0.784 0.931
16 B 0.209 0.433 0.649
17 B 0.216 0.983 0.569
18 B 0.433 0.209 0.149
19 B 0.567 0.791 0.851
20 B 0.784 0.017 0.431
21 B 0.791 0.567 0.351
22 B 0.983 0.216 0.069
23 Se 0.033 0.871 0.500
24 Se 0.098 0.708 0.937
25 Se 0.123 0.505 0.653
26 Se 0.129 0.967 0.000
27 Se 0.159 0.317 0.150
28 Se 0.179 0.332 0.798
29 Se 0.292 0.902 0.563
30 Se 0.294 0.706 0.250
31 Se 0.317 0.159 0.650
32 Se 0.328 0.478 0.511
33 Se 0.332 0.179 0.298
34 Se 0.478 0.328 0.011
35 Se 0.495 0.877 0.847
36 Se 0.505 0.123 0.153
37 Se 0.522 0.672 0.989
38 Se 0.668 0.821 0.702
39 Se 0.672 0.522 0.489
40 Se 0.683 0.841 0.350
41 Se 0.706 0.294 0.750
42 Se 0.708 0.098 0.437
43 Se 0.821 0.668 0.202
44 Se 0.841 0.683 0.850
45 Se 0.871 0.033 0.000
46 Se 0.877 0.495 0.347
47 Se 0.902 0.292 0.063
48 Se 0.967 0.129 0.500



[3]
A plane-wave DFT calculation with r²SCAN was carried out for an optimized crystal structure of Ba3SmB24.

## Properties
energy of formation = -13.644 eV per formula unit
symmetry = P4/mmm (123)
spin magnetization = 0.0 μB per formula unit
crystal system = tetragonal

Cell: 4.230 4.230 16.945 Å, 90.00 90.00 90.00°
Positions (direct):
1 Ba 0.000 0.000 0.000
2 Ba 0.000 0.000 0.251
3 Ba 0.000 0.000 0.749
4 Sm 0.000 0.000 0.500
5 B 0.203 0.500 0.379
6 B 0.203 0.500 0.621
7 B 0.205 0.500 0.126
8 B 0.205 0.500 0.874
9 B 0.500 0.203 0.379
10 B 0.500 0.203 0.621
11 B 0.500 0.205 0.126
12 B 0.500 0.205 0.874
13 B 0.500 0.500 0.052
14 B 0.500 0.500 0.200
15 B 0.500 0.500 0.304
16 B 0.500 0.500 0.451
17 B 0.500 0.500 0.549
18 B 0.500 0.500 0.696
19 B 0.500 0.500 0.800
20 B 0.500 0.500 0.948
21 B 0.500 0.795 0.126
22 B 0.500 0.795 0.874
23 B 0.500 0.797 0.379
24 B 0.500 0.797 0.621
25 B 0.795 0.500 0.126
26 B 0.795 0.500 0.874
27 B 0.797 0.500 0.379
28 B 0.797 0.500 0.621



[4]
A plane-wave DFT calculation with r²SCAN was carried out for an optimized crystal structure of Be4B.

## Properties
energy of formation = -0.065 eV per formula unit
symmetry = P4/nmm (129)
spin magnetization = 0.0 μB per formula unit
crystal system = tetragonal

Cell: 3.357 3.357 7.007 Å, 90.00 90.00 90.00°
Positions (direct):
1 Be 0.250 0.250 0.020
2 Be 0.250 0.750 0.195
3 Be 0.250 0.750 0.500
4 Be 0.250 0.750 0.805
5 Be 0.750 0.250 0.195
6 Be 0.750 0.250 0.500
7 Be 0.750 0.250 0.805
8 Be 0.750 0.750 0.980
9 B 0.250 0.250 0.330
10 B 0.750 0.750 0.670



[5]
A plane-wave DFT calculation with r²SCAN was carried out for an optimized crystal structure of Bi3B5O12.

## Properties
energy of formation = -43.351 eV per formula unit
symmetry = Pnma (62)
spin magnetization = 0.0 μB per formula unit
crystal system = orthorhombic

Cell: 6.553 7.756 18.479 Å, 90.00 90.00 90.00°
Positions (direct):
1 Bi 0.015 0.016 0.097
2 Bi 0.015 0.484 0.097
3 Bi 0.037 0.750 0.686
4 Bi 0.463 0.250 0.186
5 Bi 0.485 0.516 0.597
6 Bi 0.485 0.984 0.597
7 Bi 0.515 0.016 0.403
8 Bi 0.515 0.484 0.403
9 Bi 0.537 0.750 0.814
10 Bi 0.963 0.250 0.314
11 Bi 0.985 0.516 0.903
12 Bi 0.985 0.984 0.903
13 B 0.068 0.250 0.610
14 B 0.125 0.096 0.731
15 B 0.125 0.404 0.731
16 B 0.169 0.250 0.481
17 B 0.203 0.750 0.488
18 B 0.297 0.250 0.988
19 B 0.331 0.750 0.981
20 B 0.375 0.596 0.231
21 B 0.375 0.904 0.231
22 B 0.432 0.750 0.110
23 B 0.568 0.250 0.890
24 B 0.625 0.096 0.769
25 B 0.625 0.404 0.769
26 B 0.669 0.250 0.019
27 B 0.703 0.750 0.012
28 B 0.797 0.250 0.512
29 B 0.831 0.750 0.519
30 B 0.875 0.596 0.269
31 B 0.875 0.904 0.269
32 B 0.932 0.750 0.390
33 O 0.028 0.750 0.541
34 O 0.113 0.250 0.769
35 O 0.116 0.094 0.657
36 O 0.116 0.406 0.657
37 O 0.135 0.750 0.414
38 O 0.143 0.556 0.767
39 O 0.143 0.944 0.767
40 O 0.160 0.250 0.148
41 O 0.175 0.092 0.001
42 O 0.175 0.408 0.001
43 O 0.185 0.750 0.926
44 O 0.226 0.250 0.553
45 O 0.274 0.750 0.053
46 O 0.315 0.250 0.426
47 O 0.325 0.592 0.501
48 O 0.325 0.908 0.501
49 O 0.340 0.750 0.648
50 O 0.357 0.056 0.267
51 O 0.357 0.444 0.267
52 O 0.365 0.250 0.914
53 O 0.384 0.594 0.157
54 O 0.384 0.906 0.157
55 O 0.387 0.750 0.269
56 O 0.472 0.250 0.041
57 O 0.528 0.750 0.959
58 O 0.613 0.250 0.731
59 O 0.616 0.094 0.843
60 O 0.616 0.406 0.843
61 O 0.635 0.750 0.086
62 O 0.643 0.556 0.733
63 O 0.643 0.944 0.733
64 O 0.660 0.250 0.352
65 O 0.675 0.092 0.499
66 O 0.675 0.408 0.499
67 O 0.685 0.750 0.574
68 O 0.726 0.250 0.947
69 O 0.774 0.750 0.447
70 O 0.815 0.250 0.074
71 O 0.825 0.592 0.999
72 O 0.825 0.908 0.999
73 O 0.840 0.750 0.852
74 O 0.857 0.056 0.233
75 O 0.857 0.444 0.233
76 O 0.865 0.250 0.586
77 O 0.884 0.594 0.343
78 O 0.884 0.906 0.343
79 O 0.887 0.750 0.231
80 O 0.972 0.250 0.459



[6]
A plane-wave DFT calculation with r²SCAN was carried out for an optimized crystal structure of Bi2B8O15.

## Properties
energy of formation = -58.943 eV per formula unit
symmetry = P2_1 (4)
spin magnetization = 0.0 μB per formula unit
crystal system = monoclinic

Cell: 4.311 22.196 6.470 Å, 90.00 105.21 90.00°
Positions (direct):
1 Bi 0.106 0.000 0.392
2 Bi 0.323 0.138 0.168
3 Bi 0.677 0.638 0.832
4 Bi 0.894 0.500 0.608
5 B 0.038 0.321 0.282
6 B 0.062 0.295 0.931
7 B 0.063 0.139 0.582
8 B 0.110 0.252 0.589
9 B 0.196 0.887 0.013
10 B 0.214 0.499 0.235
11 B 0.358 0.636 0.201
12 B 0.366 0.997 0.983
13 B 0.634 0.497 0.017
14 B 0.642 0.136 0.799
15 B 0.786 0.999 0.765
16 B 0.804 0.387 0.987
17 B 0.890 0.752 0.411
18 B 0.937 0.639 0.418
19 B 0.938 0.795 0.069
20 B 0.962 0.821 0.718
21 O 0.081 0.307 0.490
22 O 0.091 0.096 0.416
23 O 0.096 0.199 0.484
24 O 0.114 0.003 0.782
25 O 0.120 0.844 0.149
26 O 0.129 0.873 0.796
27 O 0.152 0.253 0.808
28 O 0.159 0.285 0.149
29 O 0.180 0.644 0.995
30 O 0.254 0.635 0.381
31 O 0.316 0.131 0.783
32 O 0.317 0.499 0.053
33 O 0.329 0.939 0.095
34 O 0.340 0.042 0.145
35 O 0.393 0.494 0.441
36 O 0.607 0.994 0.559
37 O 0.660 0.542 0.855
38 O 0.671 0.439 0.905
39 O 0.683 0.999 0.947
40 O 0.684 0.631 0.217
41 O 0.746 0.135 0.619
42 O 0.820 0.144 0.005
43 O 0.841 0.785 0.851
44 O 0.848 0.753 0.192
45 O 0.871 0.373 0.204
46 O 0.880 0.344 0.851
47 O 0.886 0.503 0.218
48 O 0.904 0.699 0.516
49 O 0.909 0.596 0.584
50 O 0.919 0.807 0.510



[7]
A plane-wave DFT calculation with r²SCAN was carried out for an optimized crystal structure of Bi4B2O9.

## Properties
energy of formation = -26.933 eV per formula unit
symmetry = P2_1/c (14)
spin magnetization = 0.0 μB per formula unit
crystal system = monoclinic

Cell: 11.141 6.570 11.073 Å, 90.00 90.61 90.00°
Positions (direct):
1 Bi 0.002 0.073 0.160
2 Bi 0.002 0.427 0.660
3 Bi 0.156 0.558 0.020
4 Bi 0.156 0.942 0.520
5 Bi 0.305 0.044 0.991
6 Bi 0.305 0.456 0.491
7 Bi 0.491 0.018 0.346
8 Bi 0.491 0.482 0.846
9 Bi 0.509 0.518 0.154
10 Bi 0.509 0.982 0.654
11 Bi 0.695 0.544 0.509
12 Bi 0.695 0.956 0.009
13 Bi 0.844 0.058 0.480
14 Bi 0.844 0.442 0.980
15 Bi 0.998 0.573 0.340
16 Bi 0.998 0.927 0.840
17 B 0.250 0.234 0.766
18 B 0.250 0.266 0.266
19 B 0.276 0.746 0.245
20 B 0.276 0.754 0.745
21 B 0.724 0.246 0.255
22 B 0.724 0.254 0.755
23 B 0.750 0.734 0.734
24 B 0.750 0.766 0.234
25 O 0.001 0.598 0.891
26 O 0.001 0.902 0.391
27 O 0.116 0.604 0.505
28 O 0.116 0.896 0.005
29 O 0.162 0.677 0.221
30 O 0.162 0.823 0.721
31 O 0.175 0.227 0.866
32 O 0.175 0.273 0.366
33 O 0.210 0.185 0.158
34 O 0.210 0.315 0.658
35 O 0.314 0.708 0.861
36 O 0.314 0.792 0.361
37 O 0.354 0.736 0.648
38 O 0.354 0.764 0.148
39 O 0.364 0.159 0.783
40 O 0.364 0.341 0.283
41 O 0.421 0.157 0.514
42 O 0.421 0.343 0.014
43 O 0.579 0.657 0.986
44 O 0.579 0.843 0.486
45 O 0.636 0.659 0.717
46 O 0.636 0.841 0.217
47 O 0.646 0.236 0.852
48 O 0.646 0.264 0.352
49 O 0.686 0.208 0.639
50 O 0.686 0.292 0.139
51 O 0.790 0.685 0.342
52 O 0.790 0.815 0.842
53 O 0.825 0.727 0.634
54 O 0.825 0.773 0.134
55 O 0.838 0.177 0.279
56 O 0.838 0.323 0.779
57 O 0.884 0.104 0.995
58 O 0.884 0.396 0.495
59 O 0.999 0.098 0.609
60 O 0.999 0.402 0.109



[8]
A plane-wave DFT calculation with r²SCAN was carried out for an optimized crystal structure of BiBPbO4.

## Properties
energy of formation = -12.800 eV per formula unit
symmetry = P2_1/c (14)
spin magnetization = 0.0 μB per formula unit
crystal system = monoclinic

Cell: 7.515 7.502 10.476 Å, 90.00 133.24 90.00°
Positions (direct):
1 Bi 0.180 0.000 0.342
2 Bi 0.180 0.500 0.842
3 Bi 0.820 0.000 0.658
4 Bi 0.820 0.500 0.158
5 B 0.000 0.244 0.012
6 B 0.000 0.256 0.512
7 B 0.000 0.744 0.488
8 B 0.000 0.756 0.988
9 Pb 0.500 0.107 0.182
10 Pb 0.500 0.393 0.682
11 Pb 0.500 0.607 0.318
12 Pb 0.500 0.893 0.818
13 O 0.008 0.238 0.885
14 O 0.008 0.262 0.385
15 O 0.209 0.204 0.184
16 O 0.209 0.296 0.684
17 O 0.213 0.709 0.029
18 O 0.213 0.791 0.529
19 O 0.499 0.602 0.896
20 O 0.499 0.898 0.396
21 O 0.501 0.102 0.604
22 O 0.501 0.398 0.104
23 O 0.787 0.209 0.471
24 O 0.787 0.291 0.971
25 O 0.791 0.704 0.316
26 O 0.791 0.796 0.816
27 O 0.992 0.738 0.615
28 O 0.992 0.762 0.115